# 1
The following is a r2SCAN calculation of a relaxed Cs2U4Nb4O23 crystal, from Materials Project.

Summary:
Its space-group type is Cm (8).

Cell lengths 8.808, 8.808, 7.703 Å; angles 90.21, 90.21, 103.81 degrees
Element x y z (fractional)
Cs  0.000  0.000  0.000
Cs  0.008  0.008  0.499
U  0.029  0.512  0.739
U  0.495  0.961  0.261
U  0.512  0.029  0.739
U  0.961  0.495  0.261
Nb  0.360  0.632  0.000
Nb  0.385  0.607  0.500
Nb  0.607  0.385  0.500
Nb  0.632  0.360  0.000
O  0.014  0.714  0.742
O  0.045  0.310  0.749
O  0.144  0.564  0.036
O  0.150  0.550  0.468
O  0.294  0.979  0.248
O  0.308  0.593  0.749
O  0.310  0.045  0.749
O  0.398  0.398  0.419
O  0.407  0.683  0.252
O  0.449  0.842  0.532
O  0.455  0.845  0.964
O  0.479  0.479  0.003
O  0.550  0.150  0.468
O  0.564  0.144  0.036
O  0.592  0.592  0.588
O  0.593  0.308  0.749
O  0.683  0.407  0.252
O  0.696  0.944  0.261
O  0.714  0.014  0.742
O  0.842  0.449  0.532
O  0.845  0.455  0.964
O  0.944  0.696  0.261
O  0.979  0.294  0.248



# 2
The following is a r2SCAN calculation of a relaxed SmGa crystal, from Materials Project.

Summary:
Its space-group type is Cmcm (63).

Cell lengths 5.985, 5.985, 4.129 Å; angles 90.00, 90.00, 136.68 degrees
Element x y z (fractional)
Sm  0.140  0.860  0.750
Sm  0.860  0.140  0.250
Ga  0.428  0.572  0.750
Ga  0.572  0.428  0.250



# 3
The following is a r2SCAN calculation of a relaxed Th2SbN2 crystal, from Materials Project.

Summary:
Its space-group type is I4/mmm (139).

Cell lengths 7.526, 7.526, 7.526 Å; angles 148.76, 148.76, 44.76 degrees
Element x y z (fractional)
Th  0.167  0.167  0.000
Th  0.833  0.833  0.000
Sb  0.500  0.500  0.000
N  0.250  0.750  0.500
N  0.750  0.250  0.500



no.,ρ (Mg/m³),DFT total energy (eV/cell)
1,5.60,-705.90
2,7.20,-85.21
3,8.92,-199.74